No. 1
# Mg3Cu

An optimized crystal structure of Mg3Cu (meta-GGA r2SCAN, the Materials Project). Values from VASP.

The structure in Quantum ESPRESSO input format:
```
&SYSTEM
  ibrav = 0, nat = 4, ntyp = 2
/
ATOMIC_SPECIES
Mg 24.30 Mg.upf
Cu 63.55 Cu.upf
CELL_PARAMETERS angstrom
-1.622 2.386 4.775
1.622 -2.386 4.775
1.622 2.386 -4.775
ATOMIC_POSITIONS crystal
Mg 0.793 0.718 0.075
Mg 0.087 0.500 0.587
Mg 0.357 0.282 0.075
Cu 0.598 0.000 0.598
```

=====

No. 2
# MgCu

An optimized crystal structure of MgCu (meta-GGA r2SCAN, the Materials Project). Values from VASP.

The structure in Quantum ESPRESSO input format:
```
&SYSTEM
  ibrav = 0, nat = 4, ntyp = 2
/
ATOMIC_SPECIES
Mg 24.30 Mg.upf
Cu 63.55 Cu.upf
CELL_PARAMETERS angstrom
3.097 0.000 0.000
0.000 4.421 -0.006
0.000 -0.006 4.418
ATOMIC_POSITIONS crystal
Mg 0.500 0.574 0.003
Mg 0.500 0.092 0.497
Cu 0.000 0.069 0.998
Cu 0.000 0.598 0.502
```

=====

No. 3
# Mg2Cu

An optimized crystal structure of Mg2Cu (meta-GGA r2SCAN, the Materials Project). Values from VASP.

The structure in Quantum ESPRESSO input format:
```
&SYSTEM
  ibrav = 0, nat = 6, ntyp = 2
/
ATOMIC_SPECIES
Mg 24.30 Mg.upf
Cu 63.55 Cu.upf
CELL_PARAMETERS angstrom
2.360 -3.122 -3.446
-0.050 -2.755 4.427
-4.475 1.328 -2.325
ATOMIC_POSITIONS crystal
Mg 0.500 0.832 0.668
Mg 0.500 0.168 0.332
Mg 0.164 0.332 0.832
Mg 0.836 0.668 0.168
Cu 0.000 0.250 0.250
Cu 0.000 0.750 0.750
```

=====

Spin magnetization
In order: 0.000 0.000 0.000
Unit: μB per atom
Formation enthalpy at 0 K
In order: 0.010 -0.055 -0.078
Unit: eV/atom